# 1
Density functional theory data (meta-GGA r2SCAN) for a geometry-optimized Na6Sn2S7 structure.

V: 1475.0 Å³ per cell
E_tot: -9.5517 eV/atom

abc: 9.427 10.712 15.154
angles: 90.00 105.46 90.00
Space group C2/c (No. 15)
Inequivalent atoms, fractional coordinates:
1 Na 0.000 0.000 0.000 (multiplicity 4)
2 Na 0.000 0.068 0.250 (multiplicity 4)
3 Na 0.098 0.356 0.574 (multiplicity 8)
4 Na 0.229 0.230 0.864 (multiplicity 8)
5 Sn 0.160 0.411 0.364 (multiplicity 8)
6 S 0.000 0.454 0.750 (multiplicity 4)
7 S 0.042 0.229 0.397 (multiplicity 8)
8 S 0.123 0.135 0.680 (multiplicity 8)
9 S 0.204 0.438 0.985 (multiplicity 8)

# 2
Density functional theory data (meta-GGA r2SCAN) for a geometry-optimized FeIr structure.

V: 81.5 Å³ per cell
E_tot: -33.4618 eV/atom

abc: 2.7169 2.7169 12.7493
angles: 90.00 90.00 120.00
Space group R-3m (No. 166, hexagonal axes)
Inequivalent atoms, fractional coordinates:
1 Fe 0.0000 0.0000 0.0000 (multiplicity 3)
2 Ir 0.0000 0.0000 0.5000 (multiplicity 3)

# 3
Density functional theory data (meta-GGA r2SCAN) for a geometry-optimized CaCrF5 structure.

V: 388.2 Å³ per cell
E_tot: -8.9377 eV/atom

abc: 5.448 10.103 7.494
angles: 90.00 109.75 90.00
Space group P2_1/c (No. 14)
Inequivalent atoms, fractional coordinates:
1 Ca 0.031 0.021 0.255 (multiplicity 4)
2 Cr 0.391 0.246 0.599 (multiplicity 4)
3 F 0.105 0.122 0.556 (multiplicity 4)
4 F 0.144 0.113 0.003 (multiplicity 4)
5 F 0.330 0.638 0.364 (multiplicity 4)
6 F 0.361 0.200 0.341 (multiplicity 4)
7 F 0.384 0.604 0.807 (multiplicity 4)

# 4
Density functional theory data (meta-GGA r2SCAN) for a geometry-optimized KTiF4 structure.

V: 412.9 Å³ per cell
Excess energy over the best structure of this formula in the dataset: 0.27 eV per formula unit
E_tot: -8.6791 eV/atom

abc: 12.794 8.389 4.041
angles: 90.00 107.82 90.00
Space group C2/m (No. 12)
Inequivalent atoms, fractional coordinates:
1 K 0.189 0.000 0.184 (multiplicity 4)
2 Ti 0.000 0.306 0.500 (multiplicity 4)
3 F 0.000 0.294 0.000 (multiplicity 4)
4 F 0.102 0.500 0.598 (multiplicity 4)
5 F 0.129 0.181 0.626 (multiplicity 8)

# 5
Density functional theory data (meta-GGA r2SCAN) for a geometry-optimized Ti5As3 structure.

V: 512.5 Å³ per cell
E_tot: -14.5692 eV/atom

abc: 9.821 7.736 6.745
angles: 90.00 90.00 90.00
Space group Pnma (No. 62)
Inequivalent atoms, fractional coordinates:
1 Ti 0.002 0.250 0.029 (multiplicity 4)
2 Ti 0.061 0.052 0.699 (multiplicity 8)
3 Ti 0.210 0.750 0.342 (multiplicity 4)
4 Ti 0.231 0.250 0.331 (multiplicity 4)
5 As 0.019 0.750 0.584 (multiplicity 4)
6 As 0.175 0.510 0.072 (multiplicity 8)

# 6
Density functional theory data (meta-GGA r2SCAN) for a geometry-optimized Mn3BPO10 structure.

V: 634.1 Å³ per cell
E_tot: -9.9310 eV/atom

abc: 14.640 5.880 7.365
angles: 90.00 90.00 90.00
Space group Pnma (No. 62)
Inequivalent atoms, fractional coordinates:
1 Mn 0.052 0.250 0.249 (multiplicity 4)
2 Mn 0.145 0.508 0.877 (multiplicity 8)
3 B 0.206 0.250 0.537 (multiplicity 4)
4 P 0.052 0.750 0.224 (multiplicity 4)
5 O 0.012 0.037 0.766 (multiplicity 8)
6 O 0.083 0.750 0.016 (multiplicity 4)
7 O 0.109 0.250 0.041 (multiplicity 4)
8 O 0.110 0.250 0.445 (multiplicity 4)
9 O 0.127 0.750 0.352 (multiplicity 4)
10 O 0.158 0.750 0.729 (multiplicity 4)
11 O 0.179 0.250 0.733 (multiplicity 4)
12 O 0.248 0.544 0.994 (multiplicity 8)